(1)
# Na2MoO6 GGA+U relaxed
data_Na2MoO6
_chemical_formula_sum 'Na16 Mo8 O48'
_space_group_name_H-M_alt 'P 1'
_space_group_IT_number 1
_cell_length_a 9.421
_cell_length_b 10.263
_cell_length_c 11.748
_cell_angle_alpha 90.00
_cell_angle_beta 90.00
_cell_angle_gamma 90.00
loop_
_space_group_symop_operation_xyz
'x,y,z'
loop_
_atom_site_label
_atom_site_type_symbol
_atom_site_fract_x
_atom_site_fract_y
_atom_site_fract_z
Na1 Na 0.023 0.240 0.042
Na2 Na 0.023 0.260 0.542
Na3 Na 0.061 0.000 0.736
Na4 Na 0.061 0.500 0.236
Na5 Na 0.439 0.000 0.236
Na6 Na 0.439 0.500 0.736
Na7 Na 0.477 0.740 0.042
Na8 Na 0.477 0.760 0.542
Na9 Na 0.523 0.240 0.458
Na10 Na 0.523 0.260 0.958
Na11 Na 0.561 0.000 0.764
Na12 Na 0.561 0.500 0.264
Na13 Na 0.939 0.000 0.264
Na14 Na 0.939 0.500 0.764
Na15 Na 0.977 0.740 0.458
Na16 Na 0.977 0.760 0.958
Mo1 Mo 0.249 0.039 0.487
Mo2 Mo 0.249 0.461 0.987
Mo3 Mo 0.251 0.539 0.487
Mo4 Mo 0.251 0.961 0.987
Mo5 Mo 0.749 0.039 0.013
Mo6 Mo 0.749 0.461 0.513
Mo7 Mo 0.751 0.539 0.013
Mo8 Mo 0.751 0.961 0.513
O1 O 0.040 0.521 0.449
O2 O 0.040 0.979 0.949
O3 O 0.042 0.040 0.537
O4 O 0.042 0.460 0.037
O5 O 0.197 0.046 0.339
O6 O 0.197 0.454 0.839
O7 O 0.241 0.650 0.024
O8 O 0.241 0.850 0.524
O9 O 0.242 0.612 0.627
O10 O 0.242 0.888 0.127
O11 O 0.248 0.749 0.436
O12 O 0.248 0.751 0.936
O13 O 0.252 0.249 0.436
O14 O 0.252 0.251 0.936
O15 O 0.258 0.112 0.627
O16 O 0.258 0.388 0.127
O17 O 0.259 0.150 0.024
O18 O 0.259 0.350 0.524
O19 O 0.303 0.546 0.339
O20 O 0.303 0.954 0.839
O21 O 0.458 0.540 0.537
O22 O 0.458 0.960 0.037
O23 O 0.460 0.021 0.449
O24 O 0.460 0.479 0.949
O25 O 0.540 0.521 0.051
O26 O 0.540 0.979 0.551
O27 O 0.542 0.040 0.963
O28 O 0.542 0.460 0.463
O29 O 0.697 0.046 0.161
O30 O 0.697 0.454 0.661
O31 O 0.741 0.650 0.476
O32 O 0.741 0.850 0.976
O33 O 0.742 0.612 0.873
O34 O 0.742 0.888 0.373
O35 O 0.748 0.749 0.064
O36 O 0.748 0.751 0.564
O37 O 0.752 0.249 0.064
O38 O 0.752 0.251 0.564
O39 O 0.758 0.112 0.873
O40 O 0.758 0.388 0.373
O41 O 0.759 0.150 0.476
O42 O 0.759 0.350 0.976
O43 O 0.803 0.546 0.161
O44 O 0.803 0.954 0.661
O45 O 0.958 0.540 0.963
O46 O 0.958 0.960 0.463
O47 O 0.960 0.021 0.051
O48 O 0.960 0.479 0.551
# Total magnetization ... 0.00 μB/f.u.
# Distance to the lowest polymorph of the same formula ... 0.273 eV/atom
# ΔH_f (0 K) ... -969 kJ/mol of formula units
# Space-group type ... No. 61

---

(2)
# Li7Mn5O12 GGA+U relaxed
data_Li7Mn5O12
_chemical_formula_sum 'Li7 Mn5 O12'
_space_group_name_H-M_alt 'P 1'
_space_group_IT_number 1
_cell_length_a 2.992
_cell_length_b 6.488
_cell_length_c 12.101
_cell_angle_alpha 102.41
_cell_angle_beta 94.26
_cell_angle_gamma 103.04
loop_
_space_group_symop_operation_xyz
'x,y,z'
loop_
_atom_site_label
_atom_site_type_symbol
_atom_site_fract_x
_atom_site_fract_y
_atom_site_fract_z
Li1 Li 0.000 0.000 0.000
Li2 Li 0.026 0.000 0.238
Li3 Li 0.330 0.686 0.086
Li4 Li 0.343 0.668 0.578
Li5 Li 0.657 0.332 0.422
Li6 Li 0.670 0.314 0.914
Li7 Li 0.974 0.000 0.762
Mn1 Mn 0.000 0.000 0.500
Mn2 Mn 0.326 0.678 0.841
Mn3 Mn 0.350 0.668 0.329
Mn4 Mn 0.650 0.332 0.671
Mn5 Mn 0.674 0.322 0.159
O1 O 0.131 0.346 0.791
O2 O 0.155 0.337 0.058
O3 O 0.187 0.325 0.545
O4 O 0.211 0.346 0.276
O5 O 0.471 0.011 0.622
O6 O 0.484 0.975 0.870
O7 O 0.516 0.025 0.130
O8 O 0.529 0.989 0.378
O9 O 0.789 0.654 0.724
O10 O 0.813 0.675 0.455
O11 O 0.845 0.663 0.942
O12 O 0.869 0.654 0.209
# Total magnetization ... 18.00 μB/f.u.
# Distance to the lowest polymorph of the same formula ... 0.037 eV/atom
# ΔH_f (0 K) ... -4909 kJ/mol of formula units
# Space-group type ... No. 2

---

(3)
# BaCrO4 GGA+U relaxed
data_BaCrO4
_chemical_formula_sum 'Ba4 Cr4 O16'
_space_group_name_H-M_alt 'P 1'
_space_group_IT_number 1
_cell_length_a 6.594
_cell_length_b 7.198
_cell_length_c 8.002
_cell_angle_alpha 90.00
_cell_angle_beta 90.00
_cell_angle_gamma 90.00
loop_
_space_group_symop_operation_xyz
'x,y,z'
loop_
_atom_site_label
_atom_site_type_symbol
_atom_site_fract_x
_atom_site_fract_y
_atom_site_fract_z
Ba1 Ba 0.212 0.088 0.363
Ba2 Ba 0.288 0.912 0.863
Ba3 Ba 0.712 0.412 0.637
Ba4 Ba 0.788 0.588 0.137
Cr1 Cr 0.242 0.417 0.885
Cr2 Cr 0.258 0.583 0.385
Cr3 Cr 0.742 0.083 0.115
Cr4 Cr 0.758 0.917 0.615
O1 O 0.041 0.554 0.847
O2 O 0.060 0.446 0.426
O3 O 0.190 0.275 0.042
O4 O 0.199 0.710 0.219
O5 O 0.301 0.290 0.719
O6 O 0.310 0.725 0.542
O7 O 0.440 0.554 0.926
O8 O 0.459 0.446 0.347
O9 O 0.541 0.946 0.153
O10 O 0.560 0.054 0.574
O11 O 0.690 0.225 0.958
O12 O 0.699 0.790 0.781
O13 O 0.801 0.210 0.281
O14 O 0.810 0.775 0.458
O15 O 0.940 0.946 0.074
O16 O 0.959 0.054 0.653
# Total magnetization ... 0.00 μB/f.u.
# ΔH_f (0 K) ... -1407 kJ/mol of formula units
# Space-group type ... No. 19

---

(4)
# NaMg3V3Cr3Si6B3H3O31 GGA+U relaxed
data_NaMg3V3Cr3Si6B3H3O31
_chemical_formula_sum 'Na1 Mg3 V3 Cr3 Si6 B3 H3 O31'
_space_group_name_H-M_alt 'P 1'
_space_group_IT_number 1
_cell_length_a 7.617
_cell_length_b 9.791
_cell_length_c 9.815
_cell_angle_alpha 113.34
_cell_angle_beta 105.14
_cell_angle_gamma 104.99
loop_
_space_group_symop_operation_xyz
'x,y,z'
loop_
_atom_site_label
_atom_site_type_symbol
_atom_site_fract_x
_atom_site_fract_y
_atom_site_fract_z
Na1 Na 0.000 0.000 0.000
Mg1 Mg 0.321 0.665 0.435
Mg2 Mg 0.653 0.770 0.338
Mg3 Mg 0.656 0.337 0.772
V1 V 0.469 0.813 0.807
V2 V 0.638 0.182 0.000
V3 V 0.653 0.997 0.192
Cr1 Cr 0.323 0.439 0.664
Cr2 Cr 0.882 0.227 0.564
Cr3 Cr 0.884 0.564 0.228
Si1 Si 0.044 0.808 0.623
Si2 Si 0.045 0.623 0.807
Si3 Si 0.230 0.814 0.188
Si4 Si 0.231 0.188 0.814
Si5 Si 0.416 0.377 0.184
Si6 Si 0.417 0.186 0.376
B1 B 0.662 0.670 0.999
B2 B 0.667 0.001 0.670
B3 B 0.988 0.331 0.329
H1 H 0.586 0.612 0.615
H2 H 0.969 0.382 0.003
H3 H 0.972 0.003 0.386
O1 O 0.050 0.474 0.330
O2 O 0.055 0.326 0.472
O3 O 0.070 0.999 0.723
O4 O 0.072 0.725 0.996
O5 O 0.150 0.717 0.274
O6 O 0.159 0.279 0.717
O7 O 0.233 0.270 0.998
O8 O 0.234 0.000 0.271
O9 O 0.258 0.627 0.797
O10 O 0.258 0.801 0.632
O11 O 0.348 0.271 0.270
O12 O 0.432 0.282 0.559
O13 O 0.437 0.558 0.279
O14 O 0.452 0.829 0.198
O15 O 0.455 0.198 0.831
O16 O 0.457 0.609 0.614
O17 O 0.477 0.016 0.005
O18 O 0.577 0.526 0.855
O19 O 0.589 0.856 0.534
O20 O 0.626 0.371 0.168
O21 O 0.629 0.174 0.380
O22 O 0.669 0.817 0.999
O23 O 0.675 0.007 0.822
O24 O 0.738 0.677 0.145
O25 O 0.740 0.149 0.678
O26 O 0.841 0.381 0.006
O27 O 0.846 0.006 0.390
O28 O 0.854 0.185 0.183
O29 O 0.883 0.438 0.718
O30 O 0.883 0.718 0.437
O31 O 0.964 0.728 0.727
# Total magnetization ... 14.00 μB/f.u.
# ΔH_f (0 K) ... -14243 kJ/mol of formula units
# Space-group type ... No. 1

---

(5)
# LiMnP3O9 GGA+U relaxed
data_LiMnP3O9
_chemical_formula_sum 'Li4 Mn4 P12 O36'
_space_group_name_H-M_alt 'P 1'
_space_group_IT_number 1
_cell_length_a 9.512
_cell_length_b 9.607
_cell_length_c 9.858
_cell_angle_alpha 109.63
_cell_angle_beta 104.55
_cell_angle_gamma 108.37
loop_
_space_group_symop_operation_xyz
'x,y,z'
loop_
_atom_site_label
_atom_site_type_symbol
_atom_site_fract_x
_atom_site_fract_y
_atom_site_fract_z
Li1 Li 0.148 0.356 0.167
Li2 Li 0.155 0.570 0.998
Li3 Li 0.845 0.430 0.002
Li4 Li 0.852 0.644 0.833
Mn1 Mn 0.243 0.735 0.773
Mn2 Mn 0.397 0.198 0.290
Mn3 Mn 0.603 0.802 0.710
Mn4 Mn 0.757 0.265 0.227
P1 P 0.009 0.649 0.390
P2 P 0.066 0.831 0.202
P3 P 0.196 0.078 0.912
P4 P 0.312 0.413 0.582
P5 P 0.446 0.710 0.334
P6 P 0.498 0.885 0.144
P7 P 0.502 0.115 0.856
P8 P 0.554 0.290 0.666
P9 P 0.688 0.587 0.418
P10 P 0.804 0.922 0.088
P11 P 0.934 0.169 0.798
P12 P 0.991 0.351 0.610
O1 O 0.000 0.328 0.946
O2 O 0.000 0.672 0.054
O3 O 0.059 0.514 0.755
O4 O 0.075 0.110 0.794
O5 O 0.092 0.798 0.354
O6 O 0.125 0.675 0.539
O7 O 0.139 0.316 0.580
O8 O 0.139 0.896 0.860
O9 O 0.217 0.970 0.238
O10 O 0.231 0.188 0.080
O11 O 0.289 0.577 0.202
O12 O 0.301 0.358 0.416
O13 O 0.345 0.751 0.006
O14 O 0.354 0.151 0.879
O15 O 0.379 0.596 0.686
O16 O 0.411 0.344 0.676
O17 O 0.456 0.772 0.498
O18 O 0.468 0.939 0.822
O19 O 0.496 0.132 0.700
O20 O 0.504 0.868 0.300
O21 O 0.532 0.061 0.178
O22 O 0.544 0.228 0.502
O23 O 0.589 0.656 0.324
O24 O 0.621 0.404 0.314
O25 O 0.646 0.849 0.121
O26 O 0.655 0.249 0.994
O27 O 0.699 0.642 0.584
O28 O 0.711 0.423 0.798
O29 O 0.769 0.812 0.920
O30 O 0.783 0.030 0.762
O31 O 0.861 0.104 0.140
O32 O 0.861 0.684 0.420
O33 O 0.875 0.325 0.461
O34 O 0.908 0.202 0.646
O35 O 0.925 0.890 0.206
O36 O 0.941 0.486 0.245
# Total magnetization ... 5.00 μB/f.u.
# Distance to the lowest polymorph of the same formula ... 0.000 eV/atom
# ΔH_f (0 K) ... -3558 kJ/mol of formula units
# Space-group type ... No. 2

---

Q: total magnetization of number 3 (BaCrO4)?
A: 0.00 μB/f.u.

---

Please write out number 3 again, unchanged.
# BaCrO4 GGA+U relaxed
data_BaCrO4
_chemical_formula_sum 'Ba4 Cr4 O16'
_space_group_name_H-M_alt 'P 1'
_space_group_IT_number 1
_cell_length_a 6.594
_cell_length_b 7.198
_cell_length_c 8.002
_cell_angle_alpha 90.00
_cell_angle_beta 90.00
_cell_angle_gamma 90.00
loop_
_space_group_symop_operation_xyz
'x,y,z'
loop_
_atom_site_label
_atom_site_type_symbol
_atom_site_fract_x
_atom_site_fract_y
_atom_site_fract_z
Ba1 Ba 0.212 0.088 0.363
Ba2 Ba 0.288 0.912 0.863
Ba3 Ba 0.712 0.412 0.637
Ba4 Ba 0.788 0.588 0.137
Cr1 Cr 0.242 0.417 0.885
Cr2 Cr 0.258 0.583 0.385
Cr3 Cr 0.742 0.083 0.115
Cr4 Cr 0.758 0.917 0.615
O1 O 0.041 0.554 0.847
O2 O 0.060 0.446 0.426
O3 O 0.190 0.275 0.042
O4 O 0.199 0.710 0.219
O5 O 0.301 0.290 0.719
O6 O 0.310 0.725 0.542
O7 O 0.440 0.554 0.926
O8 O 0.459 0.446 0.347
O9 O 0.541 0.946 0.153
O10 O 0.560 0.054 0.574
O11 O 0.690 0.225 0.958
O12 O 0.699 0.790 0.781
O13 O 0.801 0.210 0.281
O14 O 0.810 0.775 0.458
O15 O 0.940 0.946 0.074
O16 O 0.959 0.054 0.653
# Total magnetization ... 0.00 μB/f.u.
# ΔH_f (0 K) ... -1407 kJ/mol of formula units
# Space-group type ... No. 19

---

Q: Look up the total magnetization of the fifth one.
A: 5.00 μB/f.u.